Arrangement 1

Compound: TmWClO4
Source: the Materials Project
Functional: GGA+U
Structure: relaxed

- magnetic moment (μB/f.u.) = 0.00
- space group = P-1

Lattice parameters (Å, degrees): 6.0513 6.5662 6.9753 73.80 77.25 70.73
Positions (direct):
Tm 0.2391 0.2049 0.3679
Tm 0.7609 0.7951 0.6321
W 0.3769 0.3552 0.7650
W 0.6231 0.6448 0.2350
Cl 0.0062 0.0236 0.7243
Cl 0.9938 0.9764 0.2757
O 0.0903 0.5171 0.6895
O 0.3444 0.2583 0.0349
O 0.4270 0.4713 0.3069
O 0.4799 0.1248 0.6323
O 0.5201 0.8752 0.3677
O 0.5730 0.5287 0.6931
O 0.6556 0.7417 0.9651
O 0.9097 0.4829 0.3105

Arrangement 2

Compound: TmWClO4
Source: the Materials Project
Functional: GGA+U
Structure: relaxed

- magnetic moment (μB/f.u.) = 0.00
- space group = C2/m

Lattice parameters (Å, degrees): 6.2908 6.2908 6.8997 104.15 104.15 70.58
Positions (direct):
Tm 0.2225 0.2225 0.1166
Tm 0.7775 0.7775 0.8834
W 0.3626 0.3626 0.7325
W 0.6374 0.6374 0.2675
Cl 0.0110 0.0110 0.7698
Cl 0.9890 0.9890 0.2302
O 0.1067 0.4927 0.8493
O 0.2926 0.2926 0.4605
O 0.4535 0.4535 0.2004
O 0.4927 0.1067 0.8493
O 0.5073 0.8933 0.1507
O 0.5465 0.5465 0.7996
O 0.7074 0.7074 0.5395
O 0.8933 0.5073 0.1507

Stability check: which of them is least stable? arrangement 2.

Arrangement 1

Compound: Li4Cr3Fe2Co3O16
Source: the Materials Project
Functional: GGA+U
Structure: relaxed

- magnetic moment (μB/f.u.) = 17.00
- space group = Cm

Lattice parameters (Å, degrees): 5.7071 5.7071 9.4164 90.28 90.28 60.27
Positions (direct):
Li 0.0000 0.0000 0.0000
Li 0.0012 0.0012 0.4977
Li 0.3258 0.3258 0.3930
Li 0.6616 0.6616 0.8980
Cr 0.1680 0.6491 0.7168
Cr 0.6491 0.1680 0.7168
Cr 0.8214 0.8214 0.2173
Fe 0.3260 0.3260 0.0012
Fe 0.6574 0.6574 0.4942
Co 0.1663 0.1663 0.7155
Co 0.3349 0.8261 0.2153
Co 0.8261 0.3349 0.2153
O 0.0351 0.4753 0.8400
O 0.1564 0.6690 0.1046
O 0.1607 0.1607 0.1080
O 0.3247 0.8304 0.6056
O 0.3265 0.3265 0.6032
O 0.4753 0.0351 0.8400
O 0.4789 0.4789 0.8368
O 0.5129 0.9558 0.3387
O 0.5157 0.5157 0.3348
O 0.6585 0.6585 0.1075
O 0.6690 0.1564 0.1046
O 0.8304 0.3247 0.6056
O 0.8329 0.8329 0.6045
O 0.9558 0.5129 0.3387
O 0.9968 0.9968 0.3088
O 0.9965 0.9965 0.8097

Arrangement 2

Compound: Li4Cr3Fe2Co3O16
Source: the Materials Project
Functional: GGA+U
Structure: relaxed

- magnetic moment (μB/f.u.) = 23.00
- space group = P1

Lattice parameters (Å, degrees): 5.8060 5.8090 9.5026 90.18 90.88 119.04
Positions (direct):
Li 0.0000 0.0000 0.0000
Li 0.0000 0.0003 0.4987
Li 0.3449 0.6632 0.6020
Li 0.6789 0.3234 0.1043
Cr 0.1769 0.8223 0.2819
Cr 0.3453 0.1653 0.7826
Cr 0.8376 0.6603 0.7843
Fe 0.3381 0.6576 0.0063
Fe 0.6697 0.3286 0.5058
Co 0.1749 0.3310 0.2808
Co 0.6695 0.8237 0.2832
Co 0.8364 0.1665 0.7799
O 0.0460 0.5198 0.1593
O 0.1602 0.8256 0.8939
O 0.1609 0.3192 0.8974
O 0.3265 0.1504 0.3975
O 0.3515 0.6753 0.3892
O 0.4946 0.9544 0.1618
O 0.4984 0.5200 0.1635
O 0.5333 0.4840 0.6610
O 0.5398 0.0353 0.6593
O 0.6795 0.8296 0.8899
O 0.6860 0.3258 0.8897
O 0.8333 0.1498 0.3866
O 0.8389 0.6722 0.3943
O 0.9705 0.4752 0.6624
O 0.9964 0.0000 0.6864
O 0.9959 0.9776 0.1874

Stability check: which of them is least stable? arrangement 2.

Arrangement 1

Compound: Li4Mn2Cr3Co3O16
Source: the Materials Project
Functional: GGA+U
Structure: relaxed

- magnetic moment (μB/f.u.) = 13.00
- space group = Cm

Lattice parameters (Å, degrees): 5.7461 5.7461 9.2837 90.14 90.14 60.32
Positions (direct):
Li 0.0000 0.0000 0.0000
Li 0.0009 0.0009 0.4981
Li 0.3236 0.3236 0.3975
Li 0.6576 0.6576 0.9033
Mn 0.3229 0.3229 0.9891
Mn 0.6575 0.6575 0.4855
Cr 0.1640 0.6522 0.7144
Cr 0.6522 0.1640 0.7144
Cr 0.8235 0.8235 0.2116
Co 0.1633 0.1633 0.7160
Co 0.3340 0.8233 0.2167
Co 0.8233 0.3340 0.2167
O 0.0322 0.4668 0.8455
O 0.1545 0.6622 0.1051
O 0.1593 0.1593 0.1057
O 0.3226 0.3226 0.6049
O 0.3270 0.8287 0.6024
O 0.4668 0.0322 0.8455
O 0.4717 0.4717 0.8486
O 0.5122 0.5122 0.3401
O 0.5139 0.9491 0.3441
O 0.6552 0.6552 0.1099
O 0.6622 0.1545 0.1051
O 0.8271 0.8271 0.6015
O 0.8287 0.3270 0.6024
O 0.9491 0.5139 0.3441
O 0.9963 0.9963 0.3104
O 0.9964 0.9964 0.8117

Arrangement 2

Compound: Li4Mn2Cr3Co3O16
Source: the Materials Project
Functional: GGA+U
Structure: relaxed

- magnetic moment (μB/f.u.) = 15.00
- space group = P1

Lattice parameters (Å, degrees): 5.8305 5.8406 9.4226 89.24 89.69 60.48
Positions (direct):
Li 0.0000 0.0000 0.0000
Li 0.0028 0.9959 0.4989
Li 0.3296 0.3167 0.0988
Li 0.6619 0.6569 0.5938
Mn 0.3269 0.3331 0.5108
Mn 0.6645 0.6570 0.0107
Cr 0.1653 0.6512 0.7824
Cr 0.6554 0.1603 0.7818
Cr 0.8259 0.8215 0.2807
Co 0.1650 0.1598 0.7827
Co 0.3320 0.8253 0.2826
Co 0.8236 0.3316 0.2823
O 0.0376 0.4695 0.6477
O 0.1563 0.1695 0.3882
O 0.1664 0.6627 0.3969
O 0.3263 0.3209 0.8886
O 0.3329 0.8269 0.8973
O 0.4732 0.0335 0.6463
O 0.4755 0.4725 0.6503
O 0.5160 0.9459 0.1491
O 0.5269 0.5000 0.1536
O 0.6654 0.6457 0.3859
O 0.6708 0.1634 0.3943
O 0.8321 0.3294 0.8951
O 0.8328 0.8257 0.9019
O 0.9545 0.5041 0.1549
O 0.9923 0.0055 0.1882
O 0.9989 0.9948 0.6876

Stability check: which of them is least stable? arrangement 2.

Arrangement 1

Compound: Li2CrCo3O8
Source: the Materials Project
Functional: GGA+U
Structure: relaxed

- magnetic moment (μB/f.u.) = 5.00
- space group = P1

Lattice parameters (Å, degrees): 8.1481 8.1487 8.1665 90.28 90.15 90.21
Positions (direct):
Li 0.0000 0.0000 0.0000
Li 0.9997 0.4991 0.5018
Li 0.2465 0.2525 0.7512
Li 0.2496 0.7500 0.2503
Li 0.5000 0.5017 0.0019
Li 0.5016 0.9973 0.5026
Li 0.7490 0.7524 0.7499
Li 0.7512 0.2540 0.2517
Cr 0.1236 0.3756 0.1243
Cr 0.3718 0.8752 0.8749
Cr 0.6249 0.6249 0.3757
Cr 0.8734 0.1266 0.6255
Co 0.1201 0.6251 0.8735
Co 0.1256 0.8722 0.6212
Co 0.1302 0.1221 0.3765
Co 0.3711 0.6212 0.6255
Co 0.3762 0.3699 0.3811
Co 0.3795 0.1266 0.1310
Co 0.6210 0.3750 0.6292
Co 0.6241 0.1307 0.8793
Co 0.6290 0.8800 0.1268
Co 0.8693 0.3809 0.8766
Co 0.8758 0.6298 0.1215
Co 0.8794 0.8767 0.3715
O 0.1040 0.3911 0.8826
O 0.1071 0.6201 0.1088
O 0.1127 0.8894 0.3855
O 0.1177 0.1089 0.6063
O 0.1400 0.6379 0.6371
O 0.1401 0.8643 0.8585
O 0.1409 0.3503 0.3727
O 0.1490 0.1263 0.1451
O 0.3600 0.6377 0.8598
O 0.3624 0.8561 0.6382
O 0.3649 0.1354 0.3644
O 0.3717 0.3546 0.1467
O 0.3779 0.6065 0.3956
O 0.3887 0.3869 0.6156
O 0.3904 0.1167 0.8930
O 0.3900 0.8932 0.1128
O 0.6040 0.6070 0.6215
O 0.6109 0.1168 0.1130
O 0.6112 0.8969 0.8904
O 0.6115 0.3812 0.3968
O 0.6269 0.1440 0.6472
O 0.6328 0.3614 0.8633
O 0.6429 0.6460 0.1302
O 0.6469 0.8706 0.3608
O 0.8504 0.3733 0.6408
O 0.8543 0.1425 0.8716
O 0.8626 0.8647 0.1396
O 0.8716 0.6446 0.3553
O 0.8804 0.3978 0.1108
O 0.8848 0.6156 0.8906
O 0.8903 0.8808 0.6029
O 0.8944 0.1078 0.3807

Arrangement 2

Compound: Li2CrCo3O8
Source: the Materials Project
Functional: GGA+U
Structure: relaxed

- magnetic moment (μB/f.u.) = 5.00
- space group = Cc

Lattice parameters (Å, degrees): 5.6993 5.6993 9.3174 90.19 90.19 120.19
Positions (direct):
Li 0.0003 0.9997 0.0000
Li 0.9997 0.0003 0.5000
Li 0.3328 0.6644 0.3934
Li 0.6644 0.3328 0.8934
Cr 0.3370 0.6725 0.9870
Cr 0.6725 0.3370 0.4870
Co 0.1670 0.3365 0.7138
Co 0.1670 0.8311 0.7137
Co 0.3365 0.1670 0.2138
Co 0.6603 0.8305 0.7164
Co 0.8305 0.6603 0.2164
Co 0.8311 0.1670 0.2137
O 0.0008 0.0007 0.3120
O 0.0007 0.0008 0.8120
O 0.0393 0.5201 0.8340
O 0.1625 0.3249 0.1098
O 0.1681 0.8444 0.1081
O 0.3249 0.1625 0.6098
O 0.3318 0.6661 0.6096
O 0.4767 0.5156 0.8355
O 0.4771 0.9625 0.8347
O 0.5156 0.4767 0.3355
O 0.5201 0.0393 0.3340
O 0.6661 0.3318 0.1096
O 0.6770 0.8447 0.1080
O 0.8444 0.1681 0.6081
O 0.8447 0.6770 0.6080
O 0.9625 0.4771 0.3347

Arrangement 3

Compound: Li2CrCo3O8
Source: the Materials Project
Functional: GGA+U
Structure: relaxed

- magnetic moment (μB/f.u.) = 2.04
- space group = P-1

Lattice parameters (Å, degrees): 5.8385 5.8511 10.1598 89.44 73.31 60.19
Positions (direct):
Li 0.1310 0.4350 0.3170
Li 0.1318 0.9266 0.8168
Li 0.8682 0.0734 0.1832
Li 0.8690 0.5650 0.6830
Cr 0.4961 0.7582 0.2513
Cr 0.5039 0.2418 0.7487
Co 0.0000 0.0000 0.5000
Co 0.0000 0.5000 0.0000
Co 0.5000 0.0000 0.0000
Co 0.5000 0.0000 0.5000
Co 0.5000 0.5000 0.0000
Co 0.5000 0.5000 0.5000
O 0.2682 0.5868 0.8824
O 0.2691 0.1323 0.8874
O 0.2714 0.0970 0.3877
O 0.2710 0.6355 0.3853
O 0.2735 0.8432 0.6088
O 0.2798 0.3559 0.1046
O 0.2848 0.8737 0.1160
O 0.2928 0.3517 0.6121
O 0.7072 0.6483 0.3879
O 0.7152 0.1263 0.8840
O 0.7202 0.6441 0.8954
O 0.7265 0.1568 0.3912
O 0.7290 0.3645 0.6147
O 0.7286 0.9030 0.6123
O 0.7309 0.8677 0.1126
O 0.7318 0.4132 0.1176

Arrangement 4

Compound: Li2CrCo3O8
Source: the Materials Project
Functional: GGA+U
Structure: relaxed

- magnetic moment (μB/f.u.) = 5.00
- space group = P-1

Lattice parameters (Å, degrees): 5.7366 5.8056 10.0918 90.09 105.96 119.59
Positions (direct):
Li 0.1175 0.0548 0.1816
Li 0.1179 0.5651 0.6819
Li 0.8821 0.4349 0.3181
Li 0.8825 0.9452 0.8184
Cr 0.4964 0.7437 0.2501
Cr 0.5036 0.2563 0.7499
Co 0.0000 0.0000 0.5000
Co 0.0000 0.5000 0.0000
Co 0.5000 0.0000 0.0000
Co 0.5000 0.0000 0.5000
Co 0.5000 0.5000 0.0000
Co 0.5000 0.5000 0.5000
O 0.2398 0.5990 0.8902
O 0.2539 0.8458 0.1116
O 0.2573 0.4014 0.1112
O 0.2588 0.9118 0.6155
O 0.2649 0.1342 0.3969
O 0.2692 0.3725 0.6148
O 0.2937 0.6437 0.3922
O 0.2962 0.1546 0.8920
O 0.7038 0.8454 0.1080
O 0.7063 0.3563 0.6078
O 0.7308 0.6275 0.3852
O 0.7351 0.8658 0.6031
O 0.7412 0.0882 0.3845
O 0.7427 0.5986 0.8888
O 0.7461 0.1542 0.8884
O 0.7602 0.4010 0.1098

Stability check: which of them is least stable? arrangement 3.